(1)
AgSe3I | PBE-GGA | relaxed

```
data_AgSe3I
_symmetry_space_group_name_H-M 'P 1'
_symmetry_Int_Tables_number 1
_cell_length_a 15.050
_cell_length_b 5.102
_cell_length_c 8.251
_cell_angle_alpha 90.00
_cell_angle_beta 90.00
_cell_angle_gamma 90.00
loop_
_symmetry_equiv_pos_as_xyz
'x,y,z'
loop_
_atom_site_label
_atom_site_type_symbol
_atom_site_fract_x
_atom_site_fract_y
_atom_site_fract_z
Ag1 Ag 0.250 0.198 0.250
Ag2 Ag 0.250 0.802 0.750
Ag3 Ag 0.750 0.198 0.250
Ag4 Ag 0.750 0.802 0.750
Se1 Se 0.000 0.101 0.239
Se2 Se 0.000 0.899 0.761
Se3 Se 0.121 0.114 0.630
Se4 Se 0.121 0.886 0.370
Se5 Se 0.379 0.114 0.870
Se6 Se 0.379 0.886 0.130
Se7 Se 0.500 0.101 0.261
Se8 Se 0.500 0.899 0.739
Se9 Se 0.621 0.114 0.870
Se10 Se 0.621 0.886 0.130
Se11 Se 0.879 0.114 0.630
Se12 Se 0.879 0.886 0.370
I1 I 0.166 0.500 0.000
I2 I 0.334 0.500 0.500
I3 I 0.666 0.500 0.500
I4 I 0.834 0.500 0.000
```

Output
As for the space-group type: Pmna, No. 53. The magnetic moment comes out at 0.00 μB/cell. The total DFT energy (no corrections) is -3.0661 eV/atom.

(2)
RbCNO | PBE-GGA | relaxed

```
data_RbCNO
_symmetry_space_group_name_H-M 'P 1'
_symmetry_Int_Tables_number 1
_cell_length_a 5.887
_cell_length_b 5.887
_cell_length_c 5.887
_cell_angle_alpha 100.45
_cell_angle_beta 114.31
_cell_angle_gamma 114.01
loop_
_symmetry_equiv_pos_as_xyz
'x,y,z'
loop_
_atom_site_label
_atom_site_type_symbol
_atom_site_fract_x
_atom_site_fract_y
_atom_site_fract_z
Rb1 Rb 0.000 0.000 0.000
Rb2 Rb 0.000 0.500 0.500
C1 C 0.501 0.253 0.748
C2 C 0.506 0.753 0.252
N1 N 0.503 0.387 0.616
N2 N 0.770 0.887 0.384
O1 O 0.233 0.618 0.115
O2 O 0.503 0.118 0.885
```

Output
As for the space-group type: Ima2, No. 46. The maximum piezoelectric response is 0.3 C/m². The magnetic moment comes out at 0.00 μB/cell. The total DFT energy (no corrections) is -6.8482 eV/atom.

(3)
Tb8Se15 | PBE-GGA | relaxed

```
data_Tb8Se15
_symmetry_space_group_name_H-M 'P 1'
_symmetry_Int_Tables_number 1
_cell_length_a 11.651
_cell_length_b 11.769
_cell_length_c 25.105
_cell_angle_alpha 85.76
_cell_angle_beta 87.40
_cell_angle_gamma 89.57
loop_
_symmetry_equiv_pos_as_xyz
'x,y,z'
loop_
_atom_site_label
_atom_site_type_symbol
_atom_site_fract_x
_atom_site_fract_y
_atom_site_fract_z
Tb1 Tb 0.000 0.000 0.000
Tb2 Tb 0.000 0.004 0.499
Tb3 Tb 0.061 0.662 0.765
Tb4 Tb 0.065 0.664 0.586
Tb5 Tb 0.069 0.657 0.255
Tb6 Tb 0.078 0.650 0.093
Tb7 Tb 0.095 0.664 0.423
Tb8 Tb 0.104 0.660 0.927
Tb9 Tb 0.204 0.245 0.320
Tb10 Tb 0.207 0.239 0.666
Tb11 Tb 0.209 0.296 0.833
Tb12 Tb 0.214 0.254 0.165
Tb13 Tb 0.218 0.268 0.003
Tb14 Tb 0.232 0.264 0.501
Tb15 Tb 0.312 0.887 0.745
Tb16 Tb 0.314 0.893 0.244
Tb17 Tb 0.319 0.912 0.085
Tb18 Tb 0.321 0.900 0.585
Tb19 Tb 0.349 0.903 0.918
Tb20 Tb 0.350 0.900 0.418
Tb21 Tb 0.448 0.487 0.161
Tb22 Tb 0.463 0.481 0.662
Tb23 Tb 0.480 0.542 0.511
Tb24 Tb 0.484 0.528 0.006
Tb25 Tb 0.497 0.520 0.352
Tb26 Tb 0.503 0.520 0.847
Tb27 Tb 0.559 0.166 0.091
Tb28 Tb 0.559 0.167 0.589
Tb29 Tb 0.569 0.116 0.737
Tb30 Tb 0.572 0.122 0.242
Tb31 Tb 0.600 0.181 0.434
Tb32 Tb 0.600 0.181 0.932
Tb33 Tb 0.711 0.747 0.668
Tb34 Tb 0.715 0.743 0.177
Tb35 Tb 0.726 0.795 0.850
Tb36 Tb 0.727 0.792 0.349
Tb37 Tb 0.738 0.751 0.006
Tb38 Tb 0.739 0.754 0.502
Tb39 Tb 0.803 0.382 0.246
Tb40 Tb 0.803 0.386 0.744
Tb41 Tb 0.825 0.409 0.087
Tb42 Tb 0.833 0.409 0.583
Tb43 Tb 0.850 0.408 0.414
Tb44 Tb 0.850 0.414 0.927
Tb45 Tb 0.953 0.006 0.169
Tb46 Tb 0.955 0.003 0.672
Tb47 Tb 0.970 0.022 0.334
Tb48 Tb 0.983 0.017 0.838
Se1 Se 0.058 0.405 0.753
Se2 Se 0.075 0.384 0.087
Se3 Se 0.092 0.399 0.586
Se4 Se 0.107 0.410 0.922
Se5 Se 0.121 0.412 0.409
Se6 Se 0.135 0.077 0.748
Se7 Se 0.135 0.079 0.246
Se8 Se 0.138 0.083 0.085
Se9 Se 0.138 0.818 0.670
Se10 Se 0.139 0.079 0.584
Se11 Se 0.141 0.826 0.169
Se12 Se 0.153 0.074 0.412
Se13 Se 0.156 0.821 0.331
Se14 Se 0.157 0.828 0.837
Se15 Se 0.159 0.086 0.914
Se16 Se 0.168 0.828 0.503
Se17 Se 0.170 0.828 0.004
Se18 Se 0.203 0.515 0.186
Se19 Se 0.214 0.526 0.516
Se20 Se 0.225 0.489 0.326
Se21 Se 0.225 0.533 0.015
Se22 Se 0.259 0.544 0.808
Se23 Se 0.322 0.639 0.600
Se24 Se 0.345 0.659 0.087
Se25 Se 0.346 0.653 0.424
Se26 Se 0.356 0.656 0.917
Se27 Se 0.371 0.314 0.737
Se28 Se 0.385 0.304 0.239
Se29 Se 0.385 0.338 0.586
Se30 Se 0.386 0.339 0.084
Se31 Se 0.390 0.062 0.663
Se32 Se 0.391 0.069 0.164
Se33 Se 0.396 0.044 0.321
Se34 Se 0.405 0.214 0.375
Se35 Se 0.408 0.031 0.818
Se36 Se 0.414 0.085 0.510
Se37 Se 0.414 0.365 0.934
Se38 Se 0.415 0.090 0.009
Se39 Se 0.417 0.201 0.865
Se40 Se 0.424 0.368 0.441
Se41 Se 0.436 0.747 0.665
Se42 Se 0.446 0.762 0.161
Se43 Se 0.466 0.765 0.330
Se44 Se 0.473 0.764 0.830
Se45 Se 0.484 0.796 0.012
Se46 Se 0.496 0.801 0.515
Se47 Se 0.573 0.561 0.241
Se48 Se 0.578 0.872 0.253
Se49 Se 0.583 0.869 0.748
Se50 Se 0.600 0.557 0.738
Se51 Se 0.605 0.925 0.432
Se52 Se 0.606 0.922 0.937
Se53 Se 0.645 0.316 0.165
Se54 Se 0.648 0.315 0.663
Se55 Se 0.648 0.588 0.090
Se56 Se 0.651 0.588 0.587
Se57 Se 0.662 0.596 0.428
Se58 Se 0.663 0.333 0.011
Se59 Se 0.664 0.599 0.929
Se60 Se 0.669 0.340 0.347
Se61 Se 0.670 0.332 0.511
Se62 Se 0.679 0.348 0.850
Se63 Se 0.695 0.000 0.151
Se64 Se 0.700 0.005 0.646
Se65 Se 0.712 0.041 0.350
Se66 Se 0.723 0.046 0.842
Se67 Se 0.744 0.598 0.289
Se68 Se 0.765 0.598 0.792
Se69 Se 0.812 0.137 0.754
Se70 Se 0.823 0.137 0.249
Se71 Se 0.850 0.150 0.436
Se72 Se 0.854 0.158 0.933
Se73 Se 0.885 0.845 0.581
Se74 Se 0.888 0.841 0.085
Se75 Se 0.895 0.845 0.257
Se76 Se 0.897 0.852 0.761
Se77 Se 0.898 0.577 0.666
Se78 Se 0.899 0.571 0.173
Se79 Se 0.909 0.848 0.423
Se80 Se 0.909 0.848 0.927
Se81 Se 0.916 0.580 0.502
Se82 Se 0.917 0.581 0.008
Se83 Se 0.924 0.606 0.349
Se84 Se 0.924 0.607 0.857
Se85 Se 0.941 0.252 0.660
Se86 Se 0.945 0.238 0.011
Se87 Se 0.953 0.263 0.164
Se88 Se 0.963 0.260 0.500
Se89 Se 0.964 0.295 0.830
Se90 Se 0.968 0.298 0.320
```

Output
As for the space-group type: P1, No. 1. The magnetic moment comes out at 0.03 μB/cell. The total DFT energy (no corrections) is -5.4472 eV/atom.

(4)
Lu4IO13 | PBE-GGA | relaxed

```
data_Lu4IO13
_symmetry_space_group_name_H-M 'P 1'
_symmetry_Int_Tables_number 1
_cell_length_a 8.314
_cell_length_b 12.925
_cell_length_c 13.370
_cell_angle_alpha 90.00
_cell_angle_beta 90.00
_cell_angle_gamma 90.00
loop_
_symmetry_equiv_pos_as_xyz
'x,y,z'
loop_
_atom_site_label
_atom_site_type_symbol
_atom_site_fract_x
_atom_site_fract_y
_atom_site_fract_z
Lu1 Lu 0.046 0.250 0.000
Lu2 Lu 0.046 0.250 0.500
Lu3 Lu 0.117 0.022 0.102
Lu4 Lu 0.117 0.022 0.398
Lu5 Lu 0.117 0.478 0.602
Lu6 Lu 0.117 0.478 0.898
Lu7 Lu 0.187 0.223 0.250
Lu8 Lu 0.187 0.277 0.750
Lu9 Lu 0.813 0.723 0.250
Lu10 Lu 0.813 0.777 0.750
Lu11 Lu 0.883 0.522 0.102
Lu12 Lu 0.883 0.522 0.398
Lu13 Lu 0.883 0.978 0.602
Lu14 Lu 0.883 0.978 0.898
Lu15 Lu 0.954 0.750 0.000
Lu16 Lu 0.954 0.750 0.500
I1 I 0.466 0.558 0.750
I2 I 0.466 0.942 0.250
I3 I 0.534 0.058 0.750
I4 I 0.534 0.442 0.250
O1 O 0.038 0.710 0.667
O2 O 0.038 0.710 0.833
O3 O 0.038 0.790 0.167
O4 O 0.038 0.790 0.333
O5 O 0.048 0.124 0.674
O6 O 0.048 0.124 0.826
O7 O 0.048 0.376 0.174
O8 O 0.048 0.376 0.326
O9 O 0.058 0.596 0.012
O10 O 0.058 0.596 0.488
O11 O 0.058 0.904 0.512
O12 O 0.058 0.904 0.988
O13 O 0.075 0.076 0.250
O14 O 0.075 0.424 0.750
O15 O 0.218 0.177 0.096
O16 O 0.218 0.177 0.404
O17 O 0.218 0.323 0.596
O18 O 0.218 0.323 0.904
O19 O 0.261 0.600 0.750
O20 O 0.261 0.900 0.250
O21 O 0.409 0.172 0.750
O22 O 0.409 0.328 0.250
O23 O 0.481 0.016 0.137
O24 O 0.481 0.016 0.363
O25 O 0.481 0.484 0.637
O26 O 0.481 0.484 0.863
O27 O 0.519 0.516 0.137
O28 O 0.519 0.516 0.363
O29 O 0.519 0.984 0.637
O30 O 0.519 0.984 0.863
O31 O 0.591 0.672 0.750
O32 O 0.591 0.828 0.250
O33 O 0.739 0.100 0.750
O34 O 0.739 0.400 0.250
O35 O 0.782 0.677 0.096
O36 O 0.782 0.677 0.404
O37 O 0.782 0.823 0.596
O38 O 0.782 0.823 0.904
O39 O 0.925 0.576 0.250
O40 O 0.925 0.924 0.750
O41 O 0.942 0.096 0.012
O42 O 0.942 0.096 0.488
O43 O 0.942 0.404 0.512
O44 O 0.942 0.404 0.988
O45 O 0.952 0.624 0.674
O46 O 0.952 0.624 0.826
O47 O 0.952 0.876 0.174
O48 O 0.952 0.876 0.326
O49 O 0.962 0.210 0.667
O50 O 0.962 0.210 0.833
O51 O 0.962 0.290 0.167
O52 O 0.962 0.290 0.333
```

Output
As for the space-group type: Pbcm, No. 57. The magnetic moment comes out at 4.02 μB/cell. The total DFT energy (no corrections) is -6.4307 eV/atom.

(5)
SmMgF4 | PBE-GGA | relaxed

```
data_SmMgF4
_symmetry_space_group_name_H-M 'P 1'
_symmetry_Int_Tables_number 1
_cell_length_a 8.056
_cell_length_b 8.056
_cell_length_c 5.800
_cell_angle_alpha 90.00
_cell_angle_beta 90.00
_cell_angle_gamma 152.51
loop_
_symmetry_equiv_pos_as_xyz
'x,y,z'
loop_
_atom_site_label
_atom_site_type_symbol
_atom_site_fract_x
_atom_site_fract_y
_atom_site_fract_z
Sm1 Sm 0.179 0.821 0.750
Sm2 Sm 0.821 0.179 0.250
Mg1 Mg 0.420 0.580 0.750
Mg2 Mg 0.580 0.420 0.250
F1 F 0.110 0.890 0.250
F2 F 0.307 0.693 0.511
F3 F 0.307 0.693 0.989
F4 F 0.500 0.500 0.000
F5 F 0.500 0.500 0.500
F6 F 0.693 0.307 0.011
F7 F 0.693 0.307 0.489
F8 F 0.890 0.110 0.750
```

Output
As for the space-group type: Cmcm, No. 63. The magnetic moment comes out at 1.83 μB/cell. The total DFT energy (no corrections) is -5.5852 eV/atom.

(6)
La2ZnO4 | PBE-GGA | relaxed

```
data_La2ZnO4
_symmetry_space_group_name_H-M 'P 1'
_symmetry_Int_Tables_number 1
_cell_length_a 11.449
_cell_length_b 3.851
_cell_length_c 11.122
_cell_angle_alpha 90.00
_cell_angle_beta 90.00
_cell_angle_gamma 90.00
loop_
_symmetry_equiv_pos_as_xyz
'x,y,z'
loop_
_atom_site_label
_atom_site_type_symbol
_atom_site_fract_x
_atom_site_fract_y
_atom_site_fract_z
La1 La 0.098 0.250 0.188
La2 La 0.112 0.250 0.590
La3 La 0.388 0.750 0.090
La4 La 0.402 0.750 0.688
La5 La 0.598 0.250 0.312
La6 La 0.612 0.250 0.910
La7 La 0.888 0.750 0.410
La8 La 0.902 0.750 0.812
Zn1 Zn 0.190 0.250 0.881
Zn2 Zn 0.310 0.750 0.381
Zn3 Zn 0.690 0.250 0.619
Zn4 Zn 0.810 0.750 0.119
O1 O 0.017 0.250 0.390
O2 O 0.028 0.250 0.840
O3 O 0.223 0.750 0.235
O4 O 0.242 0.750 0.535
O5 O 0.258 0.250 0.035
O6 O 0.277 0.250 0.735
O7 O 0.472 0.750 0.340
O8 O 0.483 0.750 0.890
O9 O 0.517 0.250 0.110
O10 O 0.528 0.250 0.660
O11 O 0.723 0.750 0.265
O12 O 0.742 0.750 0.965
O13 O 0.758 0.250 0.465
O14 O 0.777 0.250 0.765
O15 O 0.972 0.750 0.160
O16 O 0.983 0.750 0.610
```

Output
As for the space-group type: Pnma, No. 62. The magnetic moment comes out at 0.00 μB/cell. The total DFT energy (no corrections) is -7.2729 eV/atom.

(7)
Mg3Au | PBE-GGA | relaxed

```
data_Mg3Au
_symmetry_space_group_name_H-M 'P 1'
_symmetry_Int_Tables_number 1
_cell_length_a 4.645
_cell_length_b 4.645
_cell_length_c 9.469
_cell_angle_alpha 90.00
_cell_angle_beta 90.00
_cell_angle_gamma 120.00
loop_
_symmetry_equiv_pos_as_xyz
'x,y,z'
loop_
_atom_site_label
_atom_site_type_symbol
_atom_site_fract_x
_atom_site_fract_y
_atom_site_fract_z
Mg1 Mg 0.333 0.667 0.090
Mg2 Mg 0.333 0.667 0.410
Mg3 Mg 0.333 0.667 0.750
Mg4 Mg 0.667 0.333 0.250
Mg5 Mg 0.667 0.333 0.590
Mg6 Mg 0.667 0.333 0.910
Au1 Au 0.000 0.000 0.250
Au2 Au 0.000 0.000 0.750
```

Output
As for the space-group type: P6_3/mmc, No. 194. The magnetic moment comes out at 0.02 μB/cell. The total DFT energy (no corrections) is -2.2179 eV/atom.

(8)
Zr5I18 | PBE-GGA | relaxed

```
data_Zr5I18
_symmetry_space_group_name_H-M 'P 1'
_symmetry_Int_Tables_number 1
_cell_length_a 7.951
_cell_length_b 10.473
_cell_length_c 42.767
_cell_angle_alpha 96.26
_cell_angle_beta 90.01
_cell_angle_gamma 112.16
loop_
_symmetry_equiv_pos_as_xyz
'x,y,z'
loop_
_atom_site_label
_atom_site_type_symbol
_atom_site_fract_x
_atom_site_fract_y
_atom_site_fract_z
Zr1 Zr 0.000 0.000 0.000
Zr2 Zr 0.099 0.751 0.449
Zr3 Zr 0.111 0.272 0.945
Zr4 Zr 0.226 0.561 0.887
Zr5 Zr 0.229 0.085 0.385
Zr6 Zr 0.332 0.828 0.833
Zr7 Zr 0.434 0.582 0.285
Zr8 Zr 0.442 0.104 0.777
Zr9 Zr 0.558 0.896 0.223
Zr10 Zr 0.566 0.418 0.715
Zr11 Zr 0.668 0.172 0.167
Zr12 Zr 0.771 0.915 0.615
Zr13 Zr 0.774 0.439 0.113
Zr14 Zr 0.889 0.728 0.055
Zr15 Zr 0.901 0.249 0.551
I1 I 0.010 0.728 0.993
I2 I 0.039 0.558 0.826
I3 I 0.040 0.813 0.638
I4 I 0.059 0.208 0.616
I5 I 0.086 0.967 0.807
I6 I 0.103 0.043 0.449
I7 I 0.126 0.509 0.436
I8 I 0.130 0.583 0.083
I9 I 0.155 0.346 0.268
I10 I 0.178 0.997 0.063
I11 I 0.211 0.826 0.896
I12 I 0.212 0.758 0.250
I13 I 0.236 0.285 0.882
I14 I 0.250 0.351 0.529
I15 I 0.269 0.115 0.717
I16 I 0.294 0.514 0.696
I17 I 0.300 0.785 0.506
I18 I 0.321 0.619 0.339
I19 I 0.342 0.051 0.327
I20 I 0.361 0.137 0.972
I21 I 0.376 0.903 0.159
I22 I 0.402 0.550 0.951
I23 I 0.417 0.308 0.139
I24 I 0.435 0.371 0.785
I25 I 0.447 0.918 0.417
I26 I 0.453 0.830 0.771
I27 I 0.490 0.674 0.602
I28 I 0.510 0.326 0.398
I29 I 0.547 0.170 0.229
I30 I 0.553 0.082 0.583
I31 I 0.565 0.629 0.215
I32 I 0.583 0.692 0.861
I33 I 0.598 0.450 0.049
I34 I 0.624 0.097 0.841
I35 I 0.639 0.863 0.028
I36 I 0.658 0.949 0.673
I37 I 0.679 0.381 0.661
I38 I 0.700 0.215 0.494
I39 I 0.706 0.486 0.304
I40 I 0.731 0.885 0.283
I41 I 0.750 0.649 0.471
I42 I 0.764 0.715 0.118
I43 I 0.788 0.242 0.750
I44 I 0.789 0.174 0.104
I45 I 0.822 0.003 0.937
I46 I 0.845 0.654 0.732
I47 I 0.870 0.417 0.917
I48 I 0.874 0.491 0.564
I49 I 0.897 0.957 0.551
I50 I 0.914 0.033 0.193
I51 I 0.941 0.792 0.384
I52 I 0.960 0.187 0.362
I53 I 0.961 0.442 0.174
I54 I 0.990 0.272 0.007
```

Output
As for the space-group type: P-1, No. 2. The magnetic moment comes out at 0.99 μB/cell. The total DFT energy (no corrections) is -3.8496 eV/atom.

(9)
Zr3Se4 | PBE-GGA | relaxed

```
data_Zr3Se4
_symmetry_space_group_name_H-M 'P 1'
_symmetry_Int_Tables_number 1
_cell_length_a 6.651
_cell_length_b 6.651
_cell_length_c 3.765
_cell_angle_alpha 90.00
_cell_angle_beta 90.00
_cell_angle_gamma 107.27
loop_
_symmetry_equiv_pos_as_xyz
'x,y,z'
loop_
_atom_site_label
_atom_site_type_symbol
_atom_site_fract_x
_atom_site_fract_y
_atom_site_fract_z
Zr1 Zr 0.000 0.000 0.000
Zr2 Zr 0.000 0.500 0.500
Zr3 Zr 0.500 0.000 0.500
Se1 Se 0.258 0.258 0.500
Se2 Se 0.264 0.736 0.000
Se3 Se 0.736 0.264 0.000
Se4 Se 0.742 0.742 0.500
```

Output
As for the space-group type: Cmmm, No. 65. The magnetic moment comes out at 0.00 μB/cell. The total DFT energy (no corrections) is -6.9398 eV/atom.